1.
Ba10MgMn6O24F2 | GGA+U | optimized geometry

E_tot: -280.1 eV/f.u.
density: 4.55 g/cm3
total magnetic moment: 14.0 μB/f.u.
formation enthalpy at 0 K: -109.214 eV/f.u.

Cell lengths 8.1845, 10.4484, 10.4934 Å; angles 119.03, 90.26, 91.89 degrees
Closest atoms and distances in Å follow each position.
Positions (direct):
Ba: 0.0000 0.0000 0.0000  4 O 2.62-2.83
Ba: 0.0092 0.7186 0.5080  6 O 2.62-2.88, 1 F 2.71
Ba: 0.2396 0.3163 0.4217  6 O 2.64-2.92
Ba: 0.2599 0.6706 0.0968  7 O 2.70-3.02
Ba: 0.4886 0.2413 0.9956  7 O 2.74-3.04, 1 F 2.91
Ba: 0.5104 0.7307 0.7675  6 O 2.58-2.87
Ba: 0.5791 0.9673 0.5028  5 O 2.56-2.86, 1 F 2.71
Ba: 0.7218 0.3375 0.4320  7 O 2.66-2.91
Ba: 0.7654 0.6633 0.0992  8 O 2.79-3.02
Ba: 0.9185 0.2484 0.7829  5 O 2.52-2.79, 1 F 2.78
Mg: 0.2119 0.0640 0.6069  3 O 1.88-1.99, 1 F 1.94
Mn: 0.0050 0.6208 0.7882  4 O 1.72-1.73
Mn: 0.0312 0.9546 0.3585  4 O 1.79-1.86
Mn: 0.4967 0.5953 0.3915  4 O 1.71-1.73
Mn: 0.4978 0.3492 0.7294  4 O 1.77-1.90
Mn: 0.5004 0.0198 0.1571  4 O 1.71-1.73
Mn: 0.9876 0.3858 0.1423  4 O 1.71-1.73
O: 0.0001 0.5061 0.6028  1 Mn 1.72
O: 0.0082 0.5304 0.8891  1 Mn 1.73
O: 0.0139 0.8766 0.1648  1 Mn 1.79
O: 0.0397 0.5695 0.2246  1 Mn 1.72
O: 0.0660 0.1442 0.5129  1 Mn 1.86, 1 Mg 1.99
O: 0.1229 0.2862 0.0105  1 Mn 1.71
O: 0.1712 0.7413 0.8404  1 Mn 1.72
O: 0.2063 0.8879 0.4125  1 Mn 1.82, 1 Mg 1.97
O: 0.3308 0.0692 0.0953  1 Mn 1.73
O: 0.3417 0.6651 0.5135  1 Mn 1.72
O: 0.3919 0.1806 0.7211  1 Mg 1.88, 1 Mn 1.90
O: 0.4614 0.4501 0.6335  1 Mn 1.81
O: 0.4748 0.4072 0.2959  1 Mn 1.72
O: 0.4925 0.1025 0.3450  1 Mn 1.73
O: 0.5065 0.4672 0.9198  1 Mn 1.77
O: 0.5098 0.6721 0.2799  1 Mn 1.71
O: 0.5120 0.8313 0.0750  1 Mn 1.73
O: 0.6685 0.0923 0.1150  1 Mn 1.71
O: 0.6727 0.6379 0.4993  1 Mn 1.73
O: 0.6789 0.2637 0.6397  1 Mn 1.78
O: 0.8027 0.3673 0.0543  1 Mn 1.73
O: 0.8363 0.7287 0.8387  1 Mn 1.73
O: 0.8530 0.8682 0.3858  1 Mn 1.79
O: 0.9805 0.3176 0.2622  1 Mn 1.72
F: 0.0836 0.9971 0.7196  1 Mg 1.94
F: 0.6925 0.0294 0.7704  3 Ba 2.71-2.91

***

2.
Na3Li3Fe2P2C2O14 | GGA+U | optimized geometry

E_tot: -170.9 eV/f.u.
density: 2.85 g/cm3
total magnetic moment: 8.0 μB/f.u.
formation enthalpy at 0 K: -59.841 eV/f.u.

Cell lengths 6.7102, 8.7177, 10.1779 Å; angles 87.93, 89.58, 89.92 degrees
Closest atoms and distances in Å follow each position.
Positions (direct):
Na: 0.0000 0.0000 0.0000  5 O 2.33-2.52
Na: 0.0001 0.4796 0.2537  5 O 2.25-2.44
Na: 0.0020 0.9977 0.4988  6 O 2.36-2.58
Na: 0.2521 0.6551 0.9945  4 O 2.23-2.45
Na: 0.5022 0.4790 0.2555  5 O 2.25-2.49
Na: 0.5036 0.4854 0.7434  5 O 2.36-2.47
Li: 0.0252 0.4648 0.7500  4 O 2.11-2.27
Li: 0.2537 0.6550 0.4980  3 O 2.09-2.23
Li: 0.5217 0.0127 0.4932  4 O 2.13-2.21
Li: 0.5243 0.0196 0.9898  4 O 2.11-2.15
Li: 0.7368 0.8350 0.2496  3 O 2.04-2.17
Li: 0.7475 0.8364 0.7505  4 O 2.05-2.26
Fe: 0.2573 0.0893 0.2663  5 O 2.06-2.17
Fe: 0.2600 0.0903 0.7602  6 O 2.06-2.24
Fe: 0.7542 0.3875 0.4906  5 O 2.07-2.19
Fe: 0.7563 0.3886 0.9804  5 O 2.12-2.18
P: 0.2539 0.3340 0.5249  4 O 1.55-1.57
P: 0.2590 0.3216 0.0179  4 O 1.55-1.57
P: 0.7479 0.1456 0.2331  4 O 1.55-1.56
P: 0.7555 0.1478 0.7267  4 O 1.55-1.56
C: 0.2463 0.7944 0.7308  3 O 1.30
C: 0.2533 0.7916 0.2433  3 O 1.29-1.31
C: 0.7417 0.6964 0.0100  3 O 1.30-1.31
C: 0.7449 0.6952 0.5108  3 O 1.30-1.31
O: 0.0690 0.4268 0.4774  1 P 1.55
O: 0.0724 0.4138 0.9680  1 P 1.57
O: 0.2247 0.6482 0.7136  1 C 1.30
O: 0.2383 0.3090 0.6783  1 P 1.57
O: 0.2473 0.3012 0.1707  1 P 1.56
O: 0.2471 0.8506 0.8473  1 C 1.30
O: 0.2489 0.8403 0.3623  1 C 1.30
O: 0.2517 0.6469 0.2219  1 C 1.29
O: 0.2603 0.8915 0.1441  1 C 1.31
O: 0.2689 0.8887 0.6301  1 C 1.30
O: 0.2718 0.1612 0.9584  1 P 1.55
O: 0.2723 0.1748 0.4629  1 P 1.55
O: 0.4348 0.4403 0.4911  1 P 1.56
O: 0.4429 0.4229 0.9790  1 P 1.56
O: 0.5723 0.0435 0.2869  1 P 1.56
O: 0.5761 0.0545 0.7850  1 P 1.56
O: 0.7242 0.8383 0.0434  1 C 1.30
O: 0.7270 0.8356 0.5471  1 C 1.30
O: 0.7279 0.1722 0.0810  1 P 1.56
O: 0.7308 0.1689 0.5745  1 P 1.56
O: 0.7455 0.6587 0.8878  1 C 1.30
O: 0.7490 0.6601 0.3880  1 C 1.30
O: 0.7507 0.3030 0.2987  1 P 1.55
O: 0.7569 0.5886 0.1023  1 C 1.31
O: 0.7597 0.5855 0.6018  1 C 1.31
O: 0.7734 0.3100 0.7845  1 P 1.56
O: 0.9382 0.0486 0.2634  1 P 1.56
O: 0.9401 0.0450 0.7572  1 P 1.55

***

3.
K2Be2NiO6F8 | GGA+U | optimized geometry

E_tot: -79.8 eV/f.u.
density: 2.37 g/cm3
total magnetic moment: 10.0 μB/f.u.
formation enthalpy at 0 K: -29.655 eV/f.u.

Cell lengths 6.5154, 8.1938, 11.1458 Å; angles 89.92, 89.96, 71.33 degrees
Closest atoms and distances in Å follow each position.
Positions (direct):
K: 0.1326 0.1179 0.1514  6 F 2.60-2.91
K: 0.1329 0.6180 0.3486  6 F 2.60-2.91
K: 0.8671 0.3820 0.6514  6 F 2.60-2.91
K: 0.8674 0.8821 0.8486  6 F 2.60-2.91
Be: 0.2475 0.5789 0.6517  4 F 1.54-1.60
Be: 0.2481 0.0788 0.8481  4 F 1.54-1.60
Be: 0.7519 0.9212 0.1519  4 F 1.54-1.60
Be: 0.7525 0.4211 0.3483  4 F 1.54-1.60
Ni: 0.5000 0.0000 0.5000  6 O 1.82-1.87
Ni: 0.5000 0.5000 0.0000  6 O 1.82-1.88
O: 0.2699 0.4608 0.9169  1 Ni 1.88, 1 O 2.09
O: 0.2700 0.9609 0.5832  1 Ni 1.87, 1 O 2.09
O: 0.4027 0.1422 0.3711  1 Ni 1.83
O: 0.4028 0.6423 0.1284  1 Ni 1.83
O: 0.4842 0.3250 0.0967  1 Ni 1.82
O: 0.4842 0.8250 0.4037  1 Ni 1.82
O: 0.5158 0.1750 0.5963  1 Ni 1.82
O: 0.5158 0.6750 0.9033  1 Ni 1.82
O: 0.5972 0.3577 0.8716  1 Ni 1.83
O: 0.5973 0.8578 0.6289  1 Ni 1.83
O: 0.7300 0.0391 0.4168  1 Ni 1.87, 1 O 2.09
O: 0.7301 0.5392 0.0831  1 Ni 1.88, 1 O 2.09
F: 0.0635 0.0918 0.7584  1 Be 1.54
F: 0.0632 0.5919 0.7416  1 Be 1.54
F: 0.1688 0.2382 0.9362  1 Be 1.58
F: 0.1691 0.7382 0.5637  1 Be 1.58
F: 0.2683 0.4212 0.5629  1 Be 1.60
F: 0.2688 0.9210 0.9372  1 Be 1.60
F: 0.4703 0.0661 0.7865  1 Be 1.57
F: 0.4704 0.5658 0.7135  1 Be 1.58
F: 0.5296 0.4342 0.2865  1 Be 1.58
F: 0.5297 0.9339 0.2135  1 Be 1.57
F: 0.7312 0.0790 0.0628  1 Be 1.60
F: 0.7317 0.5788 0.4371  1 Be 1.60
F: 0.8309 0.2618 0.4363  1 Be 1.58
F: 0.8312 0.7618 0.0638  1 Be 1.58
F: 0.9368 0.4081 0.2584  1 Be 1.54
F: 0.9365 0.9082 0.2416  1 Be 1.54

***

4.
LiVF4 | GGA+U | optimized geometry

E_tot: -34.2 eV/f.u.
density: 2.76 g/cm3
total magnetic moment: 2.0 μB/f.u.
formation enthalpy at 0 K: -19.100 eV/f.u.

Cell lengths 6.7142, 6.7142, 6.5879 Å; angles 106.82, 106.82, 34.64 degrees
Closest atoms and distances in Å follow each position.
Positions (direct):
Li: 0.1981 0.1981 0.3019  4 F 1.89-2.09
Li: 0.8019 0.8019 0.6981  4 F 1.89-2.09
V: 0.1102 0.1102 0.7063  6 F 1.87-2.08
V: 0.8898 0.8898 0.2937  6 F 1.87-2.08
F: 0.0561 0.0561 0.3753  1 Li 2.02, 2 V 2.03-2.08
F: 0.1392 0.1392 0.0017  1 V 1.87, 1 Li 1.89
F: 0.2509 0.2509 0.6563  1 V 1.93, 2 Li 2.09
F: 0.3762 0.3762 0.2996  2 V 2.01
F: 0.6238 0.6238 0.7004  2 V 2.01
F: 0.7491 0.7491 0.3437  1 V 1.93, 2 Li 2.09
F: 0.8608 0.8608 0.9983  1 V 1.87, 1 Li 1.89
F: 0.9439 0.9439 0.6247  1 Li 2.02, 2 V 2.03-2.08

***

5.
Rb2CoS2O14 | GGA+U | optimized geometry

E_tot: -95.0 eV/f.u.
density: 2.51 g/cm3
total magnetic moment: 11.0 μB/f.u.
formation enthalpy at 0 K: -19.611 eV/f.u.

Cell lengths 6.3798, 12.4074, 8.9079 Å; angles 90.00, 103.18, 90.00 degrees
Closest atoms and distances in Å follow each position.
Positions (direct):
Rb: 0.1565 0.1567 0.3639  6 O 2.93-3.25
Rb: 0.1565 0.3433 0.8639  6 O 2.93-3.25
Rb: 0.8435 0.6567 0.1361  6 O 2.93-3.25
Rb: 0.8435 0.8433 0.6361  6 O 2.93-3.25
Co: 0.5000 0.0000 0.0000  6 O 1.77-1.79
Co: 0.5000 0.5000 0.5000  6 O 1.77-1.79
S: 0.2491 0.6426 0.9030  4 O 1.48-1.50
S: 0.2491 0.8574 0.4030  4 O 1.48-1.50
S: 0.7509 0.1426 0.5970  4 O 1.48-1.50
S: 0.7509 0.3574 0.0970  4 O 1.48-1.50
O: 0.0987 0.7338 0.9084  1 S 1.49
O: 0.0987 0.7662 0.4084  1 S 1.49
O: 0.1391 0.5741 0.7689  1 S 1.50
O: 0.1391 0.9259 0.2689  1 S 1.50
O: 0.2331 0.5426 0.5022  1 Co 1.79
O: 0.2331 0.9574 0.0022  1 Co 1.79
O: 0.2836 0.5766 0.0448  1 S 1.48
O: 0.2836 0.9234 0.5448  1 S 1.48
O: 0.3401 0.0917 0.8702  1 Co 1.77
O: 0.3401 0.4083 0.3702  1 Co 1.77
O: 0.4294 0.0956 0.1280  1 Co 1.77
O: 0.4294 0.4044 0.6280  1 Co 1.77
O: 0.4545 0.6838 0.8753  1 S 1.48
O: 0.4545 0.8162 0.3753  1 S 1.48
O: 0.5455 0.1838 0.6247  1 S 1.48
O: 0.5455 0.3162 0.1247  1 S 1.48
O: 0.5706 0.5956 0.3720  1 Co 1.77
O: 0.5706 0.9044 0.8720  1 Co 1.77
O: 0.6599 0.5917 0.6298  1 Co 1.77
O: 0.6599 0.9083 0.1298  1 Co 1.77
O: 0.7164 0.0766 0.4552  1 S 1.48
O: 0.7164 0.4234 0.9552  1 S 1.48
O: 0.7669 0.0426 0.9978  1 Co 1.79
O: 0.7669 0.4574 0.4978  1 Co 1.79
O: 0.8609 0.0741 0.7311  1 S 1.50
O: 0.8609 0.4259 0.2311  1 S 1.50
O: 0.9013 0.2338 0.5916  1 S 1.49
O: 0.9013 0.2662 0.0916  1 S 1.49

***

6.
CoH6Se2O8 | GGA+U | optimized geometry

E_tot: -87.6 eV/f.u.
density: 3.10 g/cm3
total magnetic moment: 1.0 μB/f.u.
formation enthalpy at 0 K: -20.723 eV/f.u.

Cell lengths 7.2161, 7.0053, 8.4550 Å; angles 90.00, 118.54, 90.00 degrees
Closest atoms and distances in Å follow each position.
Positions (direct):
Co: 0.0000 0.0000 0.0000  6 O 2.09-2.13
Co: 0.0000 0.5000 0.5000  6 O 2.09-2.13
H: 0.1102 0.2054 0.3858  1 O 1.00
H: 0.1102 0.2946 0.8858  1 O 1.00
H: 0.2137 0.1693 0.5978  1 O 0.99
H: 0.2137 0.3307 0.0978  1 O 0.99
H: 0.4949 0.0295 0.2358  1 O 1.01
H: 0.4949 0.4705 0.7358  1 O 1.01
H: 0.5051 0.5295 0.2642  1 O 1.01
H: 0.5051 0.9705 0.7642  1 O 1.01
H: 0.7863 0.6693 0.9022  1 O 0.99
H: 0.7863 0.8307 0.4022  1 O 0.99
H: 0.8898 0.7054 0.1142  1 O 1.00
H: 0.8898 0.7946 0.6142  1 O 1.00
Se: 0.3238 0.7314 0.3772  3 O 1.70-1.84
Se: 0.3238 0.7686 0.8772  3 O 1.70-1.84
Se: 0.6762 0.2314 0.1228  3 O 1.70-1.84
Se: 0.6762 0.2686 0.6228  3 O 1.70-1.84
O: 0.0768 0.6652 0.3340  1 Se 1.70, 1 H 1.72
O: 0.0768 0.8348 0.8340  1 Se 1.70, 1 H 1.72
O: 0.1936 0.2330 0.0057  2 H 0.99-1.00
O: 0.1936 0.2670 0.5057  2 H 0.99-1.00
O: 0.2779 0.5756 0.7404  1 Se 1.71, 1 H 1.75
O: 0.2779 0.9244 0.2404  1 Se 1.71, 1 H 1.75
O: 0.3551 0.5427 0.2412  1 H 1.01
O: 0.3551 0.9573 0.7412  1 H 1.01
O: 0.6449 0.0427 0.2588  1 H 1.01
O: 0.6449 0.4573 0.7588  1 H 1.01
O: 0.7221 0.0756 0.7596  1 Se 1.71, 1 H 1.75
O: 0.7221 0.4244 0.2596  1 Se 1.71, 1 H 1.75
O: 0.8064 0.7330 0.4943  2 H 0.99-1.00
O: 0.8064 0.7670 0.9943  2 H 0.99-1.00
O: 0.9232 0.1652 0.1660  1 Se 1.70, 1 H 1.72
O: 0.9232 0.3348 0.6660  1 Se 1.70, 1 H 1.72

***

7.
Li9Co7O16 | GGA+U | optimized geometry

E_tot: -176.4 eV/f.u.
density: 4.18 g/cm3
total magnetic moment: 2.0 μB/f.u.
formation enthalpy at 0 K: -52.800 eV/f.u.

Cell lengths 6.3994, 6.3994, 15.4585 Å; angles 90.23, 90.23, 27.28 degrees
Closest atoms and distances in Å follow each position.
Positions (direct):
Li: 0.0000 0.0000 0.0000  6 O 2.00-2.15
Li: 0.0582 0.0582 0.8126  6 O 2.03-2.21
Li: 0.1871 0.1871 0.4372  6 O 2.08-2.18
Li: 0.3132 0.3132 0.0596  6 O 2.01-2.21
Li: 0.4391 0.4391 0.6873  6 O 2.08-2.18
Li: 0.5609 0.5609 0.3127  6 O 2.08-2.18
Li: 0.6868 0.6868 0.9404  6 O 2.01-2.21
Li: 0.8129 0.8129 0.5628  6 O 2.08-2.18
Li: 0.9418 0.9418 0.1874  6 O 2.03-2.21
Co: 0.1268 0.1268 0.6255  6 O 1.92-2.10
Co: 0.2471 0.2471 0.2485  6 O 1.88-2.10
Co: 0.3781 0.3781 0.8816  2 O 1.74-1.91
Co: 0.5000 0.5000 0.5000  6 O 1.93-2.09
Co: 0.6219 0.6219 0.1184  2 O 1.74-1.91
Co: 0.7529 0.7529 0.7515  6 O 1.88-2.10
Co: 0.8732 0.8732 0.3745  6 O 1.92-2.10
O: 0.0225 0.0225 0.4086  3 Co 1.93-2.09, 1 Li 2.09
O: 0.1013 0.1013 0.2161  1 Co 1.88, 1 Li 2.03
O: 0.1537 0.1537 0.0387  2 Co 1.99, 4 Li 2.00-2.18
O: 0.2316 0.2316 0.8433  3 Co 1.91-2.09
O: 0.2755 0.2755 0.6592  3 Co 1.92-2.10, 1 Li 2.08
O: 0.3506 0.3506 0.4659  3 Co 1.93-2.09, 1 Li 2.08
O: 0.3965 0.3965 0.2824  3 Co 1.93-2.10, 1 Li 2.10
O: 0.4845 0.4845 0.0985  1 Co 1.74
O: 0.5155 0.5155 0.9015  1 Co 1.74
O: 0.6035 0.6035 0.7176  3 Co 1.93-2.10, 1 Li 2.10
O: 0.6494 0.6494 0.5341  3 Co 1.93-2.09, 1 Li 2.08
O: 0.7245 0.7245 0.3408  3 Co 1.92-2.10, 1 Li 2.08
O: 0.7684 0.7684 0.1567  3 Co 1.91-2.09
O: 0.8463 0.8463 0.9613  2 Co 1.99, 4 Li 2.00-2.18
O: 0.8987 0.8987 0.7839  1 Co 1.88, 1 Li 2.03
O: 0.9775 0.9775 0.5914  3 Co 1.93-2.09, 1 Li 2.09

***

8.
CrC10O4 | GGA+U | optimized geometry

E_tot: -107.7 eV/f.u.
density: 1.08 g/cm3
total magnetic moment: 1.0 μB/f.u.
formation enthalpy at 0 K: 9.282 eV/f.u.

Cell lengths 10.2460, 12.4479, 12.8220 Å; angles 70.75, 88.61, 71.43 degrees
Closest atoms and distances in Å follow each position.
Positions (direct):
Cr: 0.0980 0.0587 0.3984  4 O 2.03-2.12
Cr: 0.3973 0.9650 0.4192  4 O 2.04-2.12
Cr: 0.6027 0.0350 0.5808  4 O 2.04-2.12
Cr: 0.9020 0.9413 0.6016  4 O 2.03-2.12
C: 0.1426 0.7799 0.1002  2 C 1.46
C: 0.1764 0.3628 0.6469  2 C 1.46-1.47
C: 0.2071 0.3218 0.0123  2 C 1.40-1.49
C: 0.2172 0.6224 0.7196  2 C 1.42-1.47
C: 0.2353 0.7109 0.2018  2 C 1.42-1.46
C: 0.2358 0.7360 0.6930  3 C 1.42-1.48
C: 0.2388 0.8472 0.0914  2 C 1.42-1.46
C: 0.2414 0.2850 0.1262  3 C 1.40-1.47
C: 0.2415 0.8829 0.2878  2 O 1.27
C: 0.2449 0.8346 0.5935  2 O 1.26-1.29
C: 0.2462 0.8193 0.2079  3 C 1.42-1.48
C: 0.2468 0.1849 0.2292  2 O 1.27
C: 0.2478 0.2338 0.6992  2 C 1.42-1.46
C: 0.2584 0.1482 0.5284  2 O 1.26-1.29
C: 0.2665 0.6921 0.8101  2 C 1.42-1.46
C: 0.2712 0.2241 0.5925  3 C 1.42-1.48
C: 0.2852 0.3385 0.5732  2 C 1.42-1.47
C: 0.2917 0.3860 0.0879  2 C 1.43-1.44
C: 0.3286 0.5691 0.8094  2 C 1.46-1.47
C: 0.3307 0.3619 0.9876  2 C 1.43-1.49
C: 0.6693 0.6381 0.0124  2 C 1.43-1.49
C: 0.6714 0.4309 0.1906  2 C 1.46-1.47
C: 0.7083 0.6140 0.9121  2 C 1.43-1.44
C: 0.7148 0.6615 0.4268  2 C 1.42-1.47
C: 0.7288 0.7759 0.4075  3 C 1.42-1.48
C: 0.7335 0.3079 0.1899  2 C 1.42-1.46
C: 0.7416 0.8518 0.4716  2 O 1.26-1.29
C: 0.7522 0.7662 0.3008  2 C 1.42-1.46
C: 0.7532 0.8151 0.7708  2 O 1.27
C: 0.7538 0.1807 0.7921  3 C 1.42-1.48
C: 0.7551 0.1654 0.4065  2 O 1.26-1.29
C: 0.7585 0.1171 0.7122  2 O 1.27
C: 0.7586 0.7150 0.8738  3 C 1.40-1.47
C: 0.7612 0.1528 0.9086  2 C 1.42-1.46
C: 0.7642 0.2640 0.3070  3 C 1.42-1.48
C: 0.7647 0.2891 0.7982  2 C 1.42-1.46
C: 0.7828 0.3776 0.2804  2 C 1.42-1.47
C: 0.7929 0.6782 0.9877  2 C 1.40-1.49
C: 0.8236 0.6372 0.3531  2 C 1.46-1.47
C: 0.8574 0.2201 0.8998  2 C 1.46
O: 0.1255 0.9361 0.3152  1 C 1.27
O: 0.1270 0.9155 0.5511  1 C 1.29
O: 0.1284 0.1779 0.2559  1 C 1.27
O: 0.1416 0.1597 0.4891  1 C 1.26
O: 0.3607 0.8336 0.5581  1 C 1.26
O: 0.3609 0.8776 0.3195  1 C 1.27
O: 0.3637 0.1186 0.2819  1 C 1.27
O: 0.3753 0.0737 0.5196  1 C 1.29
O: 0.6247 0.9263 0.4804  1 C 1.29
O: 0.6363 0.8814 0.7181  1 C 1.27
O: 0.6391 0.1224 0.6805  1 C 1.27
O: 0.6393 0.1664 0.4419  1 C 1.26
O: 0.8584 0.8403 0.5109  1 C 1.26
O: 0.8716 0.8221 0.7441  1 C 1.27
O: 0.8730 0.0845 0.4489  1 C 1.29
O: 0.8745 0.0639 0.6848  1 C 1.27

***

Q: Which formula does entry 3 have?
A: K2Be2NiO6F8